Record 1
Compound: La5Sn3
Source: the Materials Project
Functional: PBE
Structure: relaxed

a b c (Å): 9.6207 9.6207 9.6207
angles (deg): 96.28 96.28 141.37
Closest atoms and distances in Å follow each position.
Positions (direct):
Sn 0.3399 0.8399 0.1798  10 La 3.31-3.68
La 0.9144 0.2170 0.1314  6 Sn 3.35-3.68, 1 La 3.59
La 0.7500 0.2500 0.5000  2 La 3.18, 4 Sn 3.31
La 0.4144 0.2830 0.6975  6 Sn 3.35-3.68, 1 La 3.59
La 0.2170 0.0856 0.3025  6 Sn 3.35-3.68, 1 La 3.59
Sn 0.6601 0.1601 0.8202  10 La 3.31-3.68
La 0.7830 0.9144 0.6975  6 Sn 3.35-3.68, 1 La 3.59
Sn 0.1601 0.3399 0.5000  10 La 3.31-3.68
La 0.2830 0.5856 0.8686  6 Sn 3.35-3.68, 1 La 3.59
Sn 0.7500 0.7500 0.0000  2 Sn 3.18, 8 La 3.39
La 0.7170 0.4144 0.1314  6 Sn 3.35-3.68, 1 La 3.59
Sn 0.2500 0.2500 0.0000  2 Sn 3.18, 8 La 3.39
La 0.0856 0.7830 0.8686  6 Sn 3.35-3.68, 1 La 3.59
Sn 0.8399 0.6601 0.5000  10 La 3.31-3.68
La 0.5856 0.7170 0.3025  6 Sn 3.35-3.68, 1 La 3.59
La 0.2500 0.7500 0.5000  2 La 3.18, 4 Sn 3.31

Calculated values
Relative energy among the computed polymorphs ... 0.000 eV/atom
ΔE_f ... -705 meV per atom
Space group ... No. 140



Record 2
Compound: La3Sn5
Source: the Materials Project
Functional: PBE
Structure: relaxed

a b c (Å): 6.7087 6.7087 10.7231
angles (deg): 90.00 90.00 102.47
Closest atoms and distances in Å follow each position.
Positions (direct):
Sn 0.4939 0.0761 0.2500  3 Sn 3.08-3.09, 3 La 3.29-3.36
Sn 0.5061 0.9239 0.7500  3 Sn 3.08-3.09, 3 La 3.29-3.36
Sn 0.3194 0.3194 0.4515  4 Sn 3.09-3.28, 4 La 3.22-3.46
Sn 0.6806 0.6806 0.5485  4 Sn 3.09-3.28, 4 La 3.22-3.46
La 0.7979 0.2021 0.5000  10 Sn 3.36-3.60
Sn 0.6806 0.6806 0.9515  4 Sn 3.09-3.28, 4 La 3.22-3.46
Sn 0.0263 0.0263 0.2500  4 Sn 3.08-3.28, 5 La 3.28-3.42
Sn 0.9239 0.5061 0.7500  3 Sn 3.08-3.09, 3 La 3.29-3.36
Sn 0.0761 0.4939 0.2500  3 Sn 3.08-3.09, 3 La 3.29-3.36
Sn 0.3194 0.3194 0.0485  4 Sn 3.09-3.28, 4 La 3.22-3.46
La 0.2021 0.7979 0.0000  10 Sn 3.36-3.60
La 0.3639 0.3639 0.7500  7 Sn 3.22-3.43
La 0.2021 0.7979 0.5000  10 Sn 3.36-3.60
Sn 0.9737 0.9737 0.7500  4 Sn 3.08-3.28, 5 La 3.28-3.42
La 0.7979 0.2021 0.0000  10 Sn 3.36-3.60
La 0.6361 0.6361 0.2500  7 Sn 3.22-3.43

Calculated values
ΔE_f ... -726 meV per atom
Space group ... No. 63



Record 3
Compound: La2Tl3Sn3
Source: the Materials Project
Functional: PBE
Structure: relaxed

a b c (Å): 4.8666 4.8813 9.6734
angles (deg): 90.00 90.00 90.00
Closest atoms and distances in Å follow each position.
Positions (direct):
Tl 0.0000 0.5000 0.0000  4 Tl 3.45, 4 Sn 3.47, 4 La 3.49
Sn 0.5000 0.5000 0.2550  2 Sn 3.40, 6 Tl 3.40-3.47, 4 La 3.45
Tl 0.5000 0.0000 0.0000  4 Tl 3.45, 4 Sn 3.47, 4 La 3.48
Tl 0.5000 0.0000 0.5000  4 La 3.38, 8 Sn 3.40-3.45
La 0.0000 0.0000 0.7423  6 Tl 3.38-3.49, 6 Sn 3.38-3.45
Sn 0.0000 0.5000 0.5000  4 La 3.38, 4 Sn 3.40, 4 Tl 3.45
Sn 0.5000 0.5000 0.7450  2 Sn 3.40, 6 Tl 3.40-3.47, 4 La 3.45
La 0.0000 0.0000 0.2577  6 Tl 3.38-3.49, 6 Sn 3.38-3.45

Calculated values
ΔE_f ... -481 meV per atom
Space group ... No. 47